Ba2SrIrO6 (PBE, relaxed); crystal system = cubic; calculated total energy = -64.5 eV per formula unit; formation energy = -2.46 eV per atom
1.0
-4.3367 -4.3367 0.0000
-4.3367 0.0000 -4.3367
0.0000 -4.3367 -4.3367
Ba Sr Ir O
2 1 1 6
Direct
0.2500 0.2500 0.2500 Ba
0.7500 0.7500 0.7500 Ba
0.0000 0.0000 0.0000 Sr
0.5000 0.5000 0.5000 Ir
0.7248 0.7248 0.2752 O
0.2752 0.7248 0.2752 O
0.2752 0.7248 0.7248 O
0.7248 0.2752 0.2752 O
0.7248 0.2752 0.7248 O
0.2752 0.2752 0.7248 O


Ba2YIrO6 (PBE, relaxed); crystal system = cubic; calculated total energy = -72.4 eV per formula unit; formation energy = -2.77 eV per atom
1.0
-4.2258 -4.2258 0.0000
-4.2258 0.0000 -4.2258
0.0000 -4.2258 -4.2258
Ba Y Ir O
2 1 1 6
Direct
0.2500 0.2500 0.2500 Ba
0.7500 0.7500 0.7500 Ba
0.0000 0.0000 0.0000 Y
0.5000 0.5000 0.5000 Ir
0.7355 0.2645 0.2645 O
0.2645 0.7355 0.7355 O
0.7355 0.7355 0.2645 O
0.2645 0.7355 0.2645 O
0.2645 0.2645 0.7355 O
0.7355 0.2645 0.7355 O


Ba3ZnIr2O9 (PBE, relaxed); crystal system = hexagonal; calculated total energy = -94.7 eV per formula unit; formation energy = -2.11 eV per atom
1.0
-3.4780 -2.1688 4.1877
-0.0608 -2.3502 -5.3675
10.4596 -9.2131 3.9156
Ba Zn Ir O
6 2 4 18
Direct
0.3333 0.6667 0.9128 Ba
0.6667 0.3333 0.0872 Ba
0.0000 0.0000 0.2500 Ba
0.3333 0.6667 0.5872 Ba
0.6667 0.3333 0.4128 Ba
0.0000 0.0000 0.7500 Ba
0.0000 0.0000 0.0000 Zn
0.0000 0.0000 0.5000 Zn
0.3333 0.6667 0.3434 Ir
0.6667 0.3333 0.6566 Ir
0.3333 0.6667 0.1566 Ir
0.6667 0.3333 0.8434 Ir
0.5150 0.4850 0.7500 O
0.6578 0.8289 0.0829 O
0.1711 0.3422 0.0829 O
0.4850 0.9701 0.2500 O
0.6578 0.8289 0.4171 O
0.8289 0.6578 0.5829 O
0.3422 0.1711 0.9171 O
0.5150 0.0299 0.7500 O
0.1711 0.8289 0.4171 O
0.8289 0.1711 0.5829 O
0.8289 0.1711 0.9171 O
0.1711 0.3422 0.4171 O
0.3422 0.1711 0.5829 O
0.9701 0.4850 0.7500 O
0.8289 0.6578 0.9171 O
0.1711 0.8289 0.0829 O
0.0299 0.5150 0.2500 O
0.4850 0.5150 0.2500 O